Model one:
SrMg14CoO16 | GGA+U | optimized geometry

Structure (POSCAR):
```
SrMg14CoO16
1.0
8.661 0.000 0.000
0.000 8.661 0.000
0.000 0.000 4.378
O Mg Sr Co
16 14 1 1
Direct
0.000 0.000 0.500
0.500 0.500 0.500
0.500 0.771 0.000
0.229 0.500 0.000
0.248 0.000 0.000
0.249 0.249 0.500
0.000 0.248 0.000
0.751 0.249 0.500
0.500 0.000 0.500
0.249 0.751 0.500
0.771 0.500 0.000
0.000 0.500 0.500
0.500 0.229 0.000
0.752 0.000 0.000
0.000 0.752 0.000
0.751 0.751 0.500
0.500 0.240 0.500
0.760 0.500 0.500
0.000 0.500 0.000
0.240 0.500 0.500
0.756 0.244 0.000
0.751 0.000 0.500
0.000 0.751 0.500
0.500 0.000 0.000
0.500 0.760 0.500
0.244 0.244 0.000
0.249 0.000 0.500
0.244 0.756 0.000
0.756 0.756 0.000
0.000 0.249 0.500
0.500 0.500 0.000
0.000 0.000 0.000
```

Model two:
SrMg14CoO16 | GGA+U | optimized geometry

Structure (POSCAR):
```
SrMg14CoO16
1.0
8.683 0.000 0.000
0.000 8.623 0.000
0.000 0.000 4.394
O Mg Sr Co
16 14 1 1
Direct
0.249 0.750 0.500
0.500 0.753 0.000
0.500 0.247 0.000
0.500 0.500 0.500
0.260 0.000 0.000
0.751 0.250 0.500
0.000 0.229 0.000
0.000 0.771 0.000
0.000 0.000 0.500
0.729 0.500 0.000
0.500 0.000 0.500
0.271 0.500 0.000
0.000 0.500 0.500
0.751 0.750 0.500
0.249 0.250 0.500
0.740 0.000 0.000
0.260 0.500 0.500
0.500 0.500 0.000
0.251 0.000 0.500
0.744 0.757 0.000
0.000 0.241 0.500
0.256 0.243 0.000
0.740 0.500 0.500
0.749 0.000 0.500
0.500 0.248 0.500
0.256 0.757 0.000
0.000 0.759 0.500
0.500 0.752 0.500
0.500 0.000 0.000
0.744 0.243 0.000
0.000 0.500 0.000
0.000 0.000 0.000
```

Bottom line: model two, by a margin of 21 meV per atom.

Model one:
LiVF3 | GGA+U | optimized geometry

Structure (POSCAR):
```
LiVF3
1.0
-4.239 3.366 -1.714
-1.934 0.165 -5.335
-5.112 -1.915 -1.560
F Li V
6 2 2
Direct
0.058 0.438 0.753
0.438 0.753 0.058
0.753 0.058 0.438
0.247 0.942 0.562
0.562 0.247 0.942
0.942 0.562 0.247
0.861 0.861 0.861
0.139 0.139 0.139
0.656 0.656 0.656
0.344 0.344 0.344
```

Model two:
LiVF3 | GGA+U | optimized geometry

Structure (POSCAR):
```
LiVF3
1.0
-4.105 0.035 3.837
-0.661 -3.130 -0.678
3.909 -3.451 4.213
F V Li
6 2 2
Direct
0.497 0.163 0.671
0.003 0.163 0.671
0.997 0.837 0.329
0.750 0.500 0.015
0.250 0.500 0.985
0.503 0.837 0.329
0.250 0.665 0.667
0.750 0.335 0.333
0.750 0.072 0.872
0.250 0.928 0.128
```

Bottom line: model one, by a margin of 34 meV per atom.

Model one:
MgV4O8 | GGA+U | optimized geometry

Structure (POSCAR):
```
MgV4O8
1.0
5.138 0.010 2.940
1.728 4.907 -2.951
-5.184 0.042 3.019
Mg V O
1 4 8
Direct
0.500 0.000 0.500
0.500 0.500 0.000
0.000 0.000 0.500
0.000 0.500 0.500
0.000 0.500 0.000
0.241 0.718 0.986
0.746 0.739 0.461
0.244 0.287 0.985
0.254 0.261 0.539
0.756 0.713 0.015
0.759 0.282 0.014
0.782 0.259 0.540
0.218 0.741 0.460
```

Model two:
MgV4O8 | GGA+U | optimized geometry

Structure (POSCAR):
```
MgV4O8
1.0
3.069 0.005 0.000
-1.527 4.813 0.000
0.000 0.000 10.633
V O Mg
4 8 1
Direct
0.124 0.243 0.540
0.858 0.717 0.089
0.124 0.243 0.960
0.858 0.717 0.411
0.760 0.519 0.574
0.919 0.842 0.250
0.484 0.970 0.016
0.111 0.219 0.750
0.760 0.519 0.926
0.236 0.470 0.114
0.236 0.470 0.386
0.484 0.970 0.484
0.732 0.465 0.750
```

Model three:
MgV4O8 | GGA+U | optimized geometry

Structure (POSCAR):
```
MgV4O8
1.0
-1.252 3.768 -3.651
-3.965 -4.007 -1.021
-4.858 -0.121 3.351
O Mg V
8 1 4
Direct
0.855 0.376 0.349
0.817 0.913 0.916
0.173 0.098 0.119
0.175 0.593 0.578
0.594 0.421 0.921
0.331 0.085 0.621
0.620 0.913 0.427
0.308 0.622 0.091
0.824 0.140 0.136
0.085 0.709 0.208
0.497 0.750 0.740
0.464 0.266 0.284
0.075 0.210 0.705
```

Bottom line: model one, by a margin of 52 meV per atom.

Model one:
CaMn3V4O12 | GGA+U | optimized geometry

Structure (POSCAR):
```
CaMn3V4O12
1.0
-5.371 4.923 1.831
5.036 5.620 -0.373
-1.606 0.928 -7.330
O Ca Mn V
24 2 6 8
Direct
0.302 0.492 0.796
0.798 0.304 0.492
0.496 0.208 0.311
0.803 0.992 0.292
0.204 0.694 0.509
0.298 0.189 0.000
0.192 0.000 0.300
0.995 0.705 0.811
0.701 0.810 0.000
0.309 0.500 0.201
0.295 0.806 0.991
0.005 0.293 0.188
0.202 0.311 0.500
0.008 0.706 0.192
0.493 0.793 0.307
0.198 0.008 0.705
0.698 0.508 0.206
0.689 0.499 0.795
0.507 0.207 0.693
0.799 0.690 0.500
0.812 0.000 0.705
0.992 0.295 0.809
0.504 0.794 0.689
0.703 0.196 0.008
0.999 0.000 0.999
0.501 0.500 0.501
0.999 0.001 0.500
0.005 0.500 0.001
0.491 0.000 0.500
0.502 0.499 0.000
0.500 0.000 0.998
0.000 0.500 0.501
0.250 0.750 0.750
0.250 0.250 0.250
0.250 0.250 0.750
0.750 0.250 0.250
0.750 0.750 0.750
0.749 0.750 0.250
0.750 0.250 0.750
0.250 0.750 0.250
```

Model two:
CaMn3V4O12 | GGA+U | optimized geometry

Structure (POSCAR):
```
CaMn3V4O12
1.0
-3.760 3.807 -3.761
3.750 -3.805 -3.746
-3.759 -3.804 -3.758
O Mn V Ca
12 3 4 1
Direct
0.103 0.802 0.714
0.295 0.486 0.810
0.897 0.198 0.286
0.199 0.710 0.104
0.815 0.710 0.489
0.705 0.514 0.190
0.484 0.198 0.699
0.298 0.104 0.194
0.702 0.896 0.806
0.801 0.290 0.895
0.186 0.290 0.511
0.515 0.802 0.301
0.000 0.500 0.500
0.500 0.500 0.000
0.500 0.000 0.500
0.000 0.500 0.000
0.500 0.500 0.500
0.500 0.000 0.000
0.000 0.000 0.500
0.000 0.000 0.000
```

Bottom line: model one, by a margin of 8 meV per atom.

Model one:
Li3V2P3O12 | GGA+U | optimized geometry

Structure (POSCAR):
```
Li3V2P3O12
1.0
-3.739 -8.738 2.462
-0.870 2.178 9.534
-9.273 3.014 -0.889
Li P O V
12 12 48 8
Direct
0.703 0.076 0.025
0.505 0.985 0.240
0.924 0.297 0.975
0.564 0.782 0.467
0.218 0.436 0.533
0.750 0.621 0.806
0.734 0.765 0.180
0.379 0.250 0.194
0.235 0.266 0.820
0.998 0.744 0.612
0.015 0.495 0.760
0.256 0.002 0.388
0.341 0.681 0.302
0.652 0.319 0.197
0.050 0.179 0.595
0.442 0.162 0.571
0.681 0.348 0.803
0.174 0.055 0.097
0.945 0.826 0.903
0.319 0.659 0.698
0.156 0.448 0.071
0.821 0.950 0.405
0.838 0.558 0.429
0.552 0.844 0.929
0.032 0.128 0.131
0.406 0.322 0.555
0.405 0.806 0.349
0.194 0.595 0.651
0.208 0.092 0.942
0.803 0.422 0.845
0.821 0.919 0.563
0.403 0.093 0.447
0.164 0.894 0.124
0.312 0.817 0.669
0.912 0.715 0.811
0.090 0.388 0.207
0.394 0.543 0.370
0.908 0.792 0.058
0.703 0.192 0.844
0.103 0.302 0.657
0.598 0.459 0.134
0.541 0.402 0.866
0.880 0.629 0.290
0.622 0.329 0.358
0.824 0.110 0.370
0.098 0.397 0.943
0.603 0.902 0.057
0.112 0.040 0.656
0.183 0.688 0.331
0.960 0.888 0.344
0.578 0.197 0.155
0.870 0.397 0.417
0.612 0.910 0.793
0.081 0.179 0.437
0.391 0.877 0.925
0.106 0.836 0.876
0.313 0.410 0.073
0.603 0.130 0.583
0.872 0.968 0.869
0.371 0.120 0.710
0.327 0.621 0.860
0.671 0.378 0.642
0.285 0.088 0.189
0.379 0.673 0.140
0.123 0.609 0.075
0.457 0.606 0.630
0.890 0.176 0.630
0.808 0.297 0.156
0.907 0.597 0.553
0.678 0.594 0.445
0.590 0.687 0.927
0.698 0.897 0.343
0.249 0.751 0.000
0.966 0.253 0.281
0.468 0.532 0.000
0.531 0.469 0.500
0.748 0.252 0.500
0.249 0.970 0.782
0.030 0.751 0.218
0.747 0.034 0.719
```

Model two:
Li3V2P3O12 | GGA+U | optimized geometry

Structure (POSCAR):
```
Li3V2P3O12
1.0
4.525 -6.931 2.689
-5.657 -5.322 -4.197
6.872 0.577 -10.078
O Li V P
48 12 8 12
Direct
0.124 0.927 0.130
0.733 0.840 0.826
0.673 0.062 0.595
0.489 0.814 0.226
0.989 0.686 0.274
0.630 0.557 0.939
0.774 0.847 0.173
0.990 0.129 0.241
0.870 0.057 0.439
0.510 0.629 0.741
0.226 0.153 0.827
0.011 0.314 0.726
0.102 0.434 0.339
0.490 0.371 0.259
0.267 0.160 0.174
0.376 0.427 0.630
0.274 0.653 0.327
0.824 0.827 0.565
0.356 0.101 0.582
0.876 0.073 0.870
0.968 0.824 0.957
0.532 0.324 0.457
0.398 0.934 0.839
0.676 0.327 0.065
0.010 0.871 0.759
0.032 0.176 0.043
0.438 0.152 0.971
0.856 0.399 0.918
0.370 0.443 0.061
0.324 0.673 0.935
0.898 0.566 0.661
0.827 0.562 0.095
0.144 0.601 0.082
0.644 0.899 0.418
0.173 0.438 0.905
0.176 0.173 0.435
0.602 0.066 0.161
0.062 0.652 0.471
0.624 0.573 0.370
0.562 0.848 0.029
0.327 0.938 0.405
0.767 0.340 0.326
0.130 0.943 0.561
0.511 0.186 0.774
0.233 0.660 0.674
0.726 0.347 0.673
0.938 0.348 0.529
0.468 0.676 0.543
0.710 0.641 0.544
0.793 0.577 0.255
0.826 0.982 0.293
0.290 0.359 0.456
0.707 0.077 0.755
0.790 0.141 0.044
0.174 0.018 0.707
0.207 0.423 0.745
0.326 0.518 0.207
0.293 0.923 0.245
0.674 0.482 0.793
0.210 0.859 0.956
0.969 0.251 0.386
0.031 0.749 0.614
0.470 0.758 0.389
0.531 0.751 0.886
0.030 0.258 0.889
0.970 0.742 0.111
0.530 0.242 0.611
0.469 0.249 0.114
0.104 0.103 0.146
0.396 0.603 0.646
0.896 0.391 0.645
0.748 0.465 0.006
0.896 0.897 0.854
0.604 0.891 0.145
0.604 0.397 0.354
0.252 0.535 0.994
0.104 0.609 0.355
0.752 0.965 0.506
0.396 0.109 0.855
0.248 0.035 0.494
```

Bottom line: model two, by a margin of 31 meV per atom.